Entry 1:
A plane-wave DFT calculation with PBE was carried out for a geometry-optimized KBaSbSe3 structure.

Structure (POSCAR):
```
KBaSbSe3
1.0
9.390 0.000 0.000
0.000 9.571 0.000
0.000 3.004 9.097
Se Ba Sb K
12 4 4 4
direct
0.016 0.964 0.223 Se
0.484 0.964 0.723 Se
0.705 0.640 0.409 Se
0.396 0.729 0.117 Se
0.295 0.360 0.591 Se
0.205 0.360 0.091 Se
0.896 0.271 0.383 Se
0.984 0.036 0.777 Se
0.604 0.271 0.883 Se
0.795 0.640 0.909 Se
0.104 0.729 0.617 Se
0.516 0.036 0.277 Se
0.287 0.083 0.964 Ba
0.713 0.917 0.036 Ba
0.213 0.083 0.464 Ba
0.787 0.917 0.536 Ba
0.548 0.248 0.626 Sb
0.048 0.752 0.874 Sb
0.952 0.248 0.126 Sb
0.452 0.752 0.374 Sb
0.089 0.585 0.290 K
0.589 0.415 0.210 K
0.411 0.585 0.790 K
0.911 0.415 0.710 K
```

Computed properties:
Energy of formation from the pure elements: -1378.9 meV/atom
Total energy: -98.0 eV for the cell shown

=====

Entry 2:
A plane-wave DFT calculation with PBE was carried out for a geometry-optimized Sm3Pd4 structure.

Structure (POSCAR):
```
Sm3Pd4
1.0
4.641 5.974 2.839
-5.818 2.405 -5.064
-2.422 -5.300 5.597
Pd Sm
8 6
direct
0.776 0.447 0.940 Pd
0.553 0.060 0.224 Pd
0.000 0.000 0.000 Pd
0.447 0.940 0.776 Pd
0.940 0.776 0.447 Pd
0.224 0.553 0.060 Pd
0.500 0.500 0.500 Pd
0.060 0.224 0.553 Pd
0.027 0.404 0.278 Sm
0.404 0.278 0.027 Sm
0.278 0.027 0.404 Sm
0.722 0.973 0.596 Sm
0.973 0.596 0.722 Sm
0.596 0.722 0.973 Sm
```

Computed properties:
Energy of formation from the pure elements: -862.2 meV/atom
Total energy: -81.8 eV for the cell shown

=====

Entry 3:
A plane-wave DFT calculation with PBE was carried out for a geometry-optimized MgTi2 structure.

Structure (POSCAR):
```
MgTi2
1.0
5.113 -2.565 0.000
5.113 2.565 0.000
3.826 0.000 4.252
Ti Mg
4 2
direct
0.500 0.500 0.500 Ti
0.665 0.335 0.000 Ti
0.000 0.665 0.335 Ti
0.335 0.000 0.665 Ti
0.834 0.834 0.834 Mg
0.166 0.166 0.166 Mg
```

Computed properties:
Energy of formation from the pure elements: 222.8 meV/atom
Total energy: -33.4 eV for the cell shown

=====

Entry 4:
A plane-wave DFT calculation with PBE was carried out for a geometry-optimized TiH structure.

Structure (POSCAR):
```
TiH
1.0
0.000 2.094 2.094
2.094 0.000 2.094
2.094 2.094 0.000
H Ti
1 1
direct
0.500 0.500 0.500 H
0.000 0.000 0.000 Ti
```

Computed properties:
Energy of formation from the pure elements: -407.5 meV/atom
Total energy: -11.9 eV for the cell shown

=====

Entry 5:
A plane-wave DFT calculation with PBE was carried out for a geometry-optimized K4Sn3Se8 structure.

Structure (POSCAR):
```
K4Sn3Se8
1.0
-5.637 13.551 1.362
-2.760 -14.335 -2.035
-0.567 -1.074 8.332
Se K Sn
16 8 6
direct
0.400 0.278 0.161 Se
0.993 0.647 0.680 Se
0.007 0.353 0.680 Se
0.222 0.100 0.661 Se
0.600 0.722 0.161 Se
0.493 0.147 0.820 Se
0.147 0.493 0.180 Se
0.353 0.007 0.320 Se
0.778 0.900 0.661 Se
0.278 0.400 0.839 Se
0.900 0.778 0.339 Se
0.647 0.993 0.320 Se
0.722 0.600 0.839 Se
0.507 0.853 0.820 Se
0.853 0.507 0.180 Se
0.100 0.222 0.339 Se
0.233 0.767 0.000 K
0.767 0.233 0.000 K
0.733 0.267 0.500 K
0.267 0.733 0.500 K
0.103 0.897 0.000 K
0.897 0.103 0.000 K
0.603 0.397 0.500 K
0.397 0.603 0.500 K
0.626 0.374 0.000 Sn
0.000 0.000 0.500 Sn
0.874 0.126 0.500 Sn
0.126 0.874 0.500 Sn
0.500 0.500 0.000 Sn
0.374 0.626 0.000 Sn
```

Computed properties:
Energy of formation from the pure elements: -1043.6 meV/atom
Total energy: -112.6 eV for the cell shown

=====

Entry 6:
A plane-wave DFT calculation with PBE was carried out for a geometry-optimized MgNb2P2S2 structure.

Structure (POSCAR):
```
MgNb2P2S2
1.0
-3.349 -0.323 -0.443
0.543 -6.584 0.679
0.766 1.503 6.098
Mg S P Nb
1 2 2 2
direct
0.357 0.964 0.715 Mg
0.243 0.257 0.483 S
0.758 0.717 0.517 S
0.504 0.279 0.008 P
0.495 0.681 0.989 P
0.882 0.427 0.762 Nb
0.118 0.536 0.236 Nb
```

Computed properties:
Energy of formation from the pure elements: -913.9 meV/atom
Total energy: -46.3 eV for the cell shown

=====

Entry 7:
A plane-wave DFT calculation with PBE was carried out for a geometry-optimized Na2Ta4Si7Sn4S5O48 structure.

Structure (POSCAR):
```
Na2Ta4Si7Sn4S5O48
1.0
-14.313 -9.811 3.644
6.713 -3.506 -4.563
9.634 -6.964 19.645
O Sn Ta Si S Na
144 12 12 21 15 6
direct
0.514 0.825 0.409 O
0.082 0.971 0.906 O
0.071 0.630 0.072 O
0.892 0.968 0.698 O
0.920 0.534 0.744 O
0.849 0.537 0.240 O
0.722 0.152 0.533 O
0.253 0.883 0.360 O
0.266 0.686 0.256 O
0.927 0.356 0.641 O
0.911 0.030 0.802 O
0.150 0.821 0.256 O
0.415 0.291 0.527 O
0.225 0.153 0.532 O
0.577 0.696 0.470 O
0.979 0.182 0.302 O
0.571 0.630 0.072 O
0.906 0.964 0.411 O
0.409 0.786 0.302 O
0.176 0.486 0.075 O
0.983 0.791 0.803 O
0.076 0.692 0.469 O
0.754 0.874 0.358 O
0.559 0.482 0.863 O
0.244 0.129 0.637 O
0.911 0.786 0.302 O
0.572 0.514 0.573 O
0.101 0.022 0.592 O
0.600 0.022 0.596 O
0.152 0.830 0.973 O
0.182 0.869 0.856 O
0.427 0.358 0.641 O
0.354 0.540 0.527 O
0.483 0.163 0.307 O
0.595 0.027 0.308 O
0.990 0.807 0.095 O
0.250 0.859 0.075 O
0.854 0.167 0.026 O
0.011 0.204 0.198 O
0.406 0.848 0.911 O
0.420 0.812 0.600 O
0.744 0.361 0.136 O
0.682 0.492 0.076 O
0.576 0.460 0.968 O
0.345 0.530 0.243 O
0.238 0.175 0.240 O
0.490 0.172 0.596 O
0.060 0.637 0.363 O
0.515 0.203 0.192 O
0.772 0.696 0.253 O
0.077 0.464 0.256 O
0.254 0.149 0.923 O
0.492 0.818 0.090 O
0.653 0.470 0.474 O
0.317 0.497 0.640 O
0.687 0.501 0.358 O
0.756 0.148 0.922 O
0.427 0.499 0.140 O
0.660 0.838 0.258 O
0.319 0.138 0.140 O
0.270 0.847 0.753 O
0.400 0.976 0.697 O
0.417 0.543 0.026 O
0.847 0.162 0.743 O
0.755 0.359 0.423 O
0.013 0.200 0.907 O
0.059 0.484 0.863 O
0.767 0.849 0.756 O
0.181 0.872 0.577 O
0.915 0.294 0.527 O
0.511 0.817 0.698 O
0.153 0.472 0.473 O
0.762 0.688 0.974 O
0.250 0.645 0.575 O
0.256 0.626 0.858 O
0.479 0.777 0.802 O
0.601 0.165 0.808 O
0.852 0.539 0.526 O
0.391 0.811 0.197 O
0.916 0.540 0.026 O
0.741 0.182 0.242 O
0.920 0.027 0.100 O
0.255 0.363 0.422 O
0.420 0.530 0.741 O
0.652 0.481 0.756 O
0.679 0.871 0.578 O
0.583 0.192 0.409 O
0.581 0.974 0.915 O
0.435 0.513 0.422 O
0.241 0.305 0.742 O
0.404 0.962 0.407 O
0.817 0.139 0.140 O
0.094 0.162 0.807 O
0.013 0.815 0.698 O
0.654 0.834 0.973 O
0.351 0.162 0.025 O
0.741 0.307 0.740 O
0.409 0.034 0.802 O
0.751 0.857 0.075 O
0.902 0.825 0.197 O
0.076 0.453 0.968 O
0.347 0.159 0.741 O
0.080 0.187 0.415 O
0.243 0.365 0.136 O
0.082 0.978 0.194 O
0.750 0.645 0.575 O
0.099 0.179 0.095 O
0.422 0.024 0.090 O
0.560 0.635 0.365 O
0.435 0.359 0.921 O
0.261 0.687 0.974 O
0.935 0.354 0.921 O
0.583 0.187 0.695 O
0.754 0.623 0.858 O
0.577 0.690 0.756 O
0.920 0.311 0.241 O
0.260 0.834 0.475 O
0.100 0.035 0.308 O
0.153 0.481 0.758 O
0.071 0.515 0.573 O
0.324 0.495 0.923 O
0.589 0.971 0.192 O
0.602 0.180 0.089 O
0.414 0.308 0.244 O
0.905 0.841 0.903 O
0.087 0.200 0.693 O
0.923 0.816 0.594 O
0.220 0.291 0.032 O
0.513 0.203 0.912 O
0.325 0.153 0.423 O
0.726 0.300 0.031 O
0.927 0.496 0.141 O
0.761 0.834 0.474 O
0.076 0.689 0.759 O
0.991 0.169 0.588 O
0.819 0.500 0.641 O
0.180 0.492 0.356 O
0.824 0.150 0.422 O
0.681 0.870 0.856 O
0.935 0.510 0.421 O
0.745 0.128 0.637 O
0.014 0.824 0.412 O
0.827 0.498 0.922 O
0.586 0.481 0.260 O
0.500 0.996 0.148 Sn
0.833 0.333 0.980 Sn
0.334 0.336 0.981 Sn
0.668 0.671 0.311 Sn
0.173 0.664 0.814 Sn
0.834 0.333 0.479 Sn
0.003 0.010 0.356 Sn
0.504 0.996 0.857 Sn
0.335 0.335 0.478 Sn
0.671 0.663 0.815 Sn
0.172 0.680 0.314 Sn
0.999 0.013 0.646 Sn
0.831 0.322 0.186 Ta
0.670 0.687 0.024 Ta
0.006 0.001 0.861 Ta
0.171 0.655 0.523 Ta
0.002 0.988 0.142 Ta
0.331 0.341 0.685 Ta
0.671 0.656 0.522 Ta
0.504 0.020 0.358 Ta
0.502 0.016 0.642 Ta
0.173 0.688 0.025 Ta
0.339 0.323 0.190 Ta
0.834 0.344 0.686 Ta
0.313 0.666 0.918 Si
0.669 0.958 0.915 Si
0.976 0.610 0.082 Si
0.978 0.337 0.582 Si
0.312 0.958 0.418 Si
0.642 0.997 0.251 Si
0.172 0.956 0.916 Si
0.811 0.955 0.416 Si
0.336 0.625 0.582 Si
0.340 0.053 0.083 Si
0.143 0.290 0.751 Si
0.477 0.344 0.582 Si
0.477 0.623 0.083 Si
0.168 0.378 0.414 Si
0.143 0.997 0.252 Si
0.838 0.628 0.582 Si
0.810 0.662 0.918 Si
0.644 0.291 0.752 Si
0.505 0.292 0.250 Si
0.837 0.050 0.082 Si
0.672 0.384 0.415 Si
0.001 0.713 0.751 S
0.688 0.334 0.083 S
0.500 0.710 0.749 S
0.354 0.707 0.251 S
0.523 0.670 0.417 S
0.522 0.379 0.917 S
0.688 0.043 0.585 S
0.188 0.043 0.584 S
0.023 0.667 0.417 S
0.188 0.335 0.085 S
0.858 0.713 0.249 S
0.000 0.291 0.249 S
0.023 0.379 0.916 S
0.855 0.001 0.751 S
0.357 0.002 0.749 S
0.825 0.319 0.338 Na
0.825 0.329 0.838 Na
0.327 0.333 0.839 Na
0.996 0.007 0.498 Na
0.495 0.984 0.002 Na
0.329 0.322 0.336 Na
```

Computed properties:
Energy of formation from the pure elements: -2582.5 meV/atom
Total energy: -1530.2 eV for the cell shown

=====

Entry 8:
A plane-wave DFT calculation with PBE was carried out for a geometry-optimized DyB2Rh3 structure.

Structure (POSCAR):
```
DyB2Rh3
1.0
-4.675 -2.242 -1.656
4.674 -1.326 -2.454
0.403 -2.343 2.033
Rh B Dy
3 2 1
direct
0.500 0.500 0.000 Rh
0.000 0.500 0.000 Rh
0.500 0.000 0.000 Rh
0.667 0.333 0.500 B
0.333 0.667 0.500 B
0.000 0.000 0.500 Dy
```

Computed properties:
Energy of formation from the pure elements: -704.0 meV/atom
Total energy: -44.3 eV for the cell shown

=====

Entry 9:
A plane-wave DFT calculation with PBE was carried out for a geometry-optimized MgTlF3 structure.

Structure (POSCAR):
```
MgTlF3
1.0
-2.825 -2.722 1.344
3.009 -2.755 0.743
0.405 1.482 3.852
F Tl Mg
3 1 1
direct
0.000 0.500 0.000 F
0.500 0.000 0.000 F
0.000 0.000 0.500 F
0.500 0.500 0.500 Tl
0.000 0.000 0.000 Mg
```

Computed properties:
Energy of formation from the pure elements: -3083.4 meV/atom
Total energy: -23.7 eV for the cell shown

=====

Entry 10:
A plane-wave DFT calculation with PBE was carried out for a geometry-optimized Cs2SbAuCl6 structure.

Structure (POSCAR):
```
Cs2SbAuCl6
1.0
0.000 5.411 5.411
5.411 0.000 5.411
5.411 5.411 0.000
Cl Au Sb Cs
6 1 1 2
direct
0.247 0.753 0.753 Cl
0.247 0.753 0.247 Cl
0.753 0.247 0.247 Cl
0.753 0.753 0.247 Cl
0.753 0.247 0.753 Cl
0.247 0.247 0.753 Cl
0.500 0.500 0.500 Au
0.000 0.000 0.000 Sb
0.750 0.750 0.750 Cs
0.250 0.250 0.250 Cs
```

Computed properties:
Energy of formation from the pure elements: -1538.2 meV/atom
Total energy: -32.0 eV for the cell shown

=====

Entry 11:
A plane-wave DFT calculation with PBE was carried out for a geometry-optimized V2FeSi structure.

Structure (POSCAR):
```
V2FeSi
1.0
3.255 -3.261 0.000
3.255 3.261 0.000
0.000 0.000 4.540
Fe V Si
2 4 2
direct
0.006 0.748 0.250 Fe
0.748 0.006 0.750 Fe
0.499 0.499 0.000 V
0.004 0.240 0.250 V
0.240 0.004 0.750 V
0.499 0.499 0.500 V
0.507 0.997 0.250 Si
0.997 0.507 0.750 Si
```

Computed properties:
Energy of formation from the pure elements: -459.2 meV/atom
Total energy: -67.9 eV for the cell shown